1.
The following is a DFT calculation (PBE) of crystalline Cs2UNb6Cl15O3 at its relaxed geometry.

```
Cs2UNb6Cl15O3
1.0
9.283 0.000 0.000
-4.641 8.039 0.000
0.000 0.000 17.697
Cs U Nb Cl O
4 2 12 30 6
direct
0.333 0.667 0.046
0.333 0.667 0.454
0.667 0.333 0.546
0.667 0.333 0.954
0.333 0.667 0.750
0.667 0.333 0.250
0.016 0.197 0.684
0.016 0.819 0.816
0.181 0.197 0.816
0.181 0.984 0.684
0.197 0.016 0.184
0.197 0.181 0.316
0.803 0.819 0.684
0.803 0.984 0.816
0.819 0.016 0.316
0.819 0.803 0.184
0.984 0.181 0.184
0.984 0.803 0.316
0.018 0.218 0.411
0.018 0.801 0.089
0.080 0.477 0.619
0.080 0.603 0.881
0.199 0.218 0.089
0.199 0.982 0.411
0.212 0.423 0.250
0.212 0.788 0.250
0.218 0.018 0.911
0.218 0.199 0.589
0.397 0.477 0.881
0.397 0.920 0.619
0.423 0.212 0.750
0.477 0.080 0.119
0.477 0.397 0.381
0.523 0.603 0.619
0.523 0.920 0.881
0.577 0.788 0.250
0.603 0.080 0.381
0.603 0.523 0.119
0.782 0.801 0.411
0.782 0.982 0.089
0.788 0.212 0.750
0.788 0.577 0.750
0.801 0.018 0.589
0.801 0.782 0.911
0.920 0.397 0.119
0.920 0.523 0.381
0.982 0.199 0.911
0.982 0.782 0.589
0.189 0.377 0.750
0.189 0.811 0.750
0.377 0.189 0.250
0.623 0.811 0.750
0.811 0.189 0.250
0.811 0.623 0.250
```

Properties
- space group = P-31c (163)
- MP2020-corrected energy (eV/atom) = -6.0549
- E_form (eV/atom) = -1.75


2.
The following is a DFT calculation (PBE) of crystalline Nd2MnFe3Si4 at its relaxed geometry.

```
Nd2MnFe3Si4
1.0
3.996 0.000 0.000
0.000 3.996 0.000
0.000 0.000 10.005
Nd Mn Fe Si
2 1 3 4
direct
0.000 0.500 0.244
0.500 0.000 0.756
0.000 0.000 0.500
0.000 0.000 0.000
0.500 0.500 0.000
0.500 0.500 0.500
0.000 0.500 0.625
0.000 0.500 0.890
0.500 0.000 0.110
0.500 0.000 0.375
```

Properties
- space group = P-4m2 (115)
- MP2020-corrected energy (eV/atom) = -7.1570
- E_form (eV/atom) = -0.58